A plane-wave DFT calculation with r2SCAN was carried out for a relaxed structure of GaBr2.

```
GaBr2
1.0
-9.271 -3.271 8.361
-4.058 2.446 -12.005
10.827 -6.977 0.813
Br Ga
24 12
Direct
0.668 0.200 0.920 Br
0.890 0.086 0.062 Br
0.920 0.668 0.200 Br
0.877 0.941 0.477 Br
0.062 0.890 0.086 Br
0.377 0.977 0.441 Br
0.390 0.562 0.586 Br
0.168 0.420 0.700 Br
0.200 0.920 0.668 Br
0.648 0.704 0.000 Br
0.704 0.000 0.648 Br
0.420 0.700 0.168 Br
0.700 0.168 0.420 Br
0.204 0.148 0.500 Br
0.562 0.586 0.390 Br
0.086 0.062 0.890 Br
0.477 0.877 0.941 Br
0.941 0.477 0.877 Br
0.441 0.377 0.977 Br
0.000 0.648 0.704 Br
0.500 0.204 0.148 Br
0.977 0.441 0.377 Br
0.586 0.390 0.562 Br
0.148 0.500 0.204 Br
0.418 0.636 0.805 Ga
0.636 0.805 0.418 Ga
0.305 0.136 0.918 Ga
0.805 0.418 0.636 Ga
0.918 0.305 0.136 Ga
0.087 0.274 0.853 Ga
0.853 0.087 0.274 Ga
0.587 0.353 0.774 Ga
0.136 0.918 0.305 Ga
0.353 0.774 0.587 Ga
0.774 0.587 0.353 Ga
0.274 0.853 0.087 Ga
```

Values from the calculation:
Space group: No. 161
DFT formation energy (eV/atom): -0.844